Record 1
Below is a relaxed structure of BaV2P2O10, with properties calculated at the GGA+U level.

Summary:
Theoretical density: 3733 kg/m3
E_tot: -7.493 eV/atom
Volume: 13.68 A^3/atom

POSCAR file:
```
BaV2P2O10
1.0
-7.843 -3.005 4.111
-0.980 -3.131 -4.158
8.339 -12.723 6.608
O V P Ba
40 8 8 4
Cartesian
-1.609 -7.683 3.239
-1.582 -9.957 4.922
1.929 -6.536 1.569
5.587 -11.739 2.336
-6.071 -7.121 4.224
-3.901 -10.445 3.994
-2.435 -5.082 -1.268
3.417 -8.415 2.566
1.830 -12.053 5.573
-6.942 -5.376 -0.081
-4.627 -5.213 0.663
-4.039 -7.937 2.484
0.316 -2.215 0.557
-0.799 -16.644 6.004
-2.313 -6.806 0.988
3.044 -10.942 1.350
5.810 -15.057 4.659
1.528 -6.464 -1.211
-6.293 -3.802 1.902
6.458 -13.483 6.642
-2.413 -12.324 4.992
1.098 -8.903 1.639
1.725 -9.635 5.308
-2.702 -4.700 2.644
-1.931 -11.416 2.782
2.219 -14.159 3.917
2.569 -15.925 6.093
-0.075 -3.677 -1.539
3.556 -10.923 4.077
-2.011 -12.395 7.772
1.952 -13.778 7.828
-0.643 -4.572 0.788
-0.409 -15.183 8.100
1.126 -11.177 3.321
4.144 -13.647 5.898
-3.052 -2.935 0.468
-2.208 -9.224 1.253
1.448 -7.444 3.778
0.159 -14.287 5.772
-3.527 -7.918 5.211
-1.774 -4.125 -2.444
-5.145 -8.913 3.947
2.215 -14.052 5.578
-2.698 -4.807 0.982
4.662 -9.946 2.614
1.392 -10.871 1.386
1.291 -14.735 9.005
-1.875 -7.988 5.174
2.005 -7.871 2.373
0.296 -3.655 -0.038
-5.909 -4.340 0.491
-0.780 -15.205 6.599
-2.553 -7.925 2.039
2.070 -10.935 4.522
5.426 -14.519 6.070
-2.488 -10.989 4.187
0.177 -10.774 7.378
-4.756 -4.705 4.474
4.273 -14.154 2.086
-0.660 -8.085 -0.817
```

=====

Record 2
Below is a relaxed structure of BaV2P4O14, with properties calculated at the GGA+U level.

Summary:
Excess energy over the best structure of this formula in the dataset: 0.0124 eV/atom
Theoretical density: 3493 kg/m3
E_tot: -7.508 eV/atom
Volume: 13.29 A^3/atom

POSCAR file:
```
BaV2P4O14
1.0
5.342 5.397 0.000
-5.342 5.397 0.000
0.000 2.284 9.683
Ba O V P
2 28 4 8
Cartesian
2.671 3.840 4.841
-2.671 2.698 0.000
-3.460 6.389 5.582
-1.100 7.119 5.893
0.849 2.239 3.311
0.634 5.066 6.860
-0.010 2.933 5.771
3.460 5.247 0.741
1.100 5.977 1.052
1.714 6.723 8.773
-3.460 7.831 8.942
-1.814 4.688 6.326
1.814 8.389 3.357
0.849 9.696 1.531
-1.100 7.100 8.630
-0.634 8.012 2.823
1.714 7.497 5.751
-0.634 3.924 2.019
-1.714 6.355 0.910
-1.814 9.531 8.198
-0.849 10.838 6.372
0.010 10.144 3.911
0.010 1.791 0.930
3.460 6.689 4.100
-0.010 11.286 8.753
-0.849 3.381 8.152
1.814 3.546 1.484
-1.714 5.580 3.931
0.634 9.154 7.664
1.100 5.958 3.789
0.000 1.142 4.841
0.478 7.110 7.262
-0.478 5.968 2.421
0.000 0.000 0.000
0.431 9.107 2.878
-2.005 5.980 5.371
-0.431 10.249 7.720
-0.431 3.971 6.804
0.431 2.828 1.963
2.005 7.097 4.312
-2.005 8.239 9.153
2.005 4.838 0.530
```

=====

Record 3
Below is a relaxed structure of BaP4W16O56, with properties calculated at the GGA+U level.

Summary:
Excess energy over the best structure of this formula in the dataset: 0.0080 eV/atom
Theoretical density: 6151 kg/m3
E_tot: -7.483 eV/atom
Volume: 14.37 A^3/atom

POSCAR file:
```
BaP4W16O56
1.0
-3.085 -5.721 -6.917
4.113 -7.175 -4.658
-5.262 -16.396 6.207
O W Ba P
56 16 1 4
Cartesian
-4.945 -14.445 -0.987
-5.730 -18.141 0.380
0.789 -7.186 -1.143
-3.261 -11.724 2.840
-1.284 -6.024 0.211
-2.515 -6.518 -2.180
-4.239 -15.292 3.661
-1.719 -22.774 -3.188
-2.316 -18.831 1.452
-4.059 -26.638 -4.218
-2.595 -13.754 -0.587
0.726 -9.677 -2.402
-0.146 -16.865 -3.271
0.005 -13.999 -9.029
-1.783 -5.332 -4.602
-2.657 -8.993 -3.464
-4.960 -19.615 -2.966
-1.543 -2.860 -3.459
-2.999 -16.302 -6.782
-3.389 -14.018 -5.668
-2.616 -18.133 -3.341
-0.767 -12.826 -5.812
-0.845 -15.273 0.300
-3.467 -16.466 0.444
-0.383 -7.472 -3.590
0.358 -8.885 -6.861
0.475 -12.286 -3.440
-4.069 -16.072 -4.502
-2.950 -23.268 -5.579
0.219 -16.953 -5.772
-2.821 -11.620 -4.475
-0.175 -2.654 -1.151
-2.451 -23.960 -0.767
-1.639 -15.537 -4.782
-6.128 -20.703 -0.792
-1.577 -20.298 -1.904
-0.973 -17.567 -8.209
-4.709 -17.006 -1.928
-1.955 -7.811 -5.785
1.496 -11.151 -5.748
-6.225 -23.197 -1.951
-1.413 -17.672 -0.894
-4.088 -12.427 -2.098
-5.023 -22.106 -4.225
-0.165 -13.220 -0.866
-1.618 -11.158 -2.028
-1.918 -10.461 -6.820
-3.851 -21.820 -1.778
-1.235 -12.989 1.413
-4.592 -20.406 1.492
2.056 -3.588 -2.329
-2.279 -21.481 0.416
0.711 -14.847 -4.381
1.894 -8.589 -4.577
1.991 -6.095 -3.417
-4.453 -12.339 0.403
1.405 -7.790 -2.935
-2.505 -12.129 -6.346
2.172 -9.335 -6.373
-4.539 -17.959 -3.572
-5.639 -21.502 -2.433
-2.027 -22.232 -1.300
-1.441 -8.605 -7.507
-1.729 -17.163 0.977
0.305 -11.333 -1.796
-6.406 -19.957 1.004
-0.973 -18.680 -2.453
1.087 -12.855 -5.218
-5.321 -16.437 -0.150
-2.207 -7.060 -4.069
-2.793 -20.687 2.138
-3.261 -10.612 -2.915
-2.631 -8.198 3.103
-1.183 -13.789 0.142
-4.076 -13.204 -0.766
-3.051 -15.503 -5.511
-0.158 -16.087 -4.603
```

=====

Record 4
Below is a relaxed structure of BaP4W16O56, with properties calculated at the GGA+U level.

Summary:
Excess energy over the best structure of this formula in the dataset: 0.0000 eV/atom
Theoretical density: 6126 kg/m3
E_tot: -7.492 eV/atom
Volume: 14.43 A^3/atom

POSCAR file:
```
BaP4W16O56
1.0
7.706 0.000 0.000
-3.849 -8.688 0.000
-3.852 0.991 -16.595
O W Ba P
56 16 1 4
Cartesian
2.168 0.073 -9.752
5.666 -0.116 -4.325
3.864 0.120 -13.847
0.011 -7.833 -2.518
-2.042 -3.533 -2.710
-5.661 -7.581 -12.270
-1.735 -6.016 -8.627
1.678 -5.280 -6.295
-3.809 -5.136 -15.751
1.662 -2.389 -10.316
2.026 -0.763 -15.695
-3.788 -6.858 -10.257
0.043 -2.690 -1.000
2.033 -0.126 -4.326
1.740 -1.682 -7.968
-2.151 0.048 -9.735
-1.765 -1.694 -7.947
2.028 -6.938 -0.882
2.046 -4.165 -13.885
-2.021 -6.935 -0.900
1.770 -6.004 -8.648
3.847 -1.783 -9.311
2.156 -7.745 -6.860
-2.039 -2.778 -5.365
5.825 -0.876 -1.727
-0.043 -6.603 -10.583
1.851 -1.554 -13.023
0.048 -1.095 -6.012
-5.820 -6.822 -14.868
3.814 -2.562 -0.844
-2.061 -4.966 -11.246
2.050 -3.535 -2.698
3.793 -0.840 -6.338
3.843 -4.616 -4.546
-3.842 -5.915 -7.284
-3.859 -7.818 -2.748
1.848 -6.151 -3.563
1.884 -0.857 -1.740
-2.028 -7.571 -12.269
-1.879 -6.841 -14.855
-1.846 -6.143 -3.572
-1.673 -2.418 -10.300
-1.924 -4.344 0.000
1.928 -4.344 0.000
-2.164 -7.771 -6.843
-0.038 -5.008 -15.595
-3.838 -3.082 -12.049
0.020 -4.296 -4.403
-1.658 -5.308 -6.279
-2.023 -0.760 -15.713
-0.007 0.135 -14.077
-2.045 -4.162 -13.897
2.066 -2.731 -5.349
-1.843 -1.547 -13.032
2.044 -4.919 -11.230
-0.015 -3.402 -12.192
1.942 -3.306 -12.280
1.932 -7.847 -2.505
1.934 0.125 -14.087
-1.929 -7.823 -2.508
-1.927 0.150 -14.090
-1.936 -0.917 -5.953
-1.938 -6.739 -10.661
-5.778 -5.055 -15.711
1.933 -4.433 -4.287
-1.928 -3.265 -12.308
1.941 -6.781 -10.642
5.783 -2.643 -0.884
-1.937 -4.392 -4.316
1.943 -0.959 -5.934
-1.921 -5.064 -15.723
1.925 -2.633 -0.872
0.002 -3.849 -8.298
-2.318 -1.397 -9.359
-2.302 -6.321 -7.226
2.307 -1.377 -9.369
2.323 -6.300 -7.236
```

=====

Record 5
Below is a relaxed structure of Ba3V4PbO14, with properties calculated at the GGA+U level.

Summary:
Theoretical density: 4655 kg/m3
E_tot: -7.219 eV/atom
Volume: 16.98 A^3/atom

POSCAR file:
```
Ba3V4PbO14
1.0
7.454 0.000 0.000
-0.274 7.502 0.000
-0.767 -2.248 13.358
O V Ba Pb
28 8 6 2
Cartesian
4.378 1.337 0.775
-0.172 6.074 0.584
2.806 2.120 10.539
2.539 5.150 4.623
6.714 3.737 2.010
3.873 0.104 8.736
1.369 5.019 8.943
6.257 0.318 7.031
6.215 -1.098 9.460
2.035 3.918 12.583
-0.624 3.169 8.578
1.444 -0.631 11.301
1.946 -0.038 6.053
0.156 4.936 6.327
5.043 0.235 4.415
1.889 2.783 7.357
4.328 2.125 12.939
3.607 3.134 2.819
6.584 -0.820 12.774
4.367 4.363 11.037
-0.302 1.517 11.349
7.036 2.085 4.780
2.046 0.892 2.321
4.466 5.292 7.305
0.197 6.352 3.899
4.524 2.472 6.001
4.968 5.885 2.057
2.085 3.129 0.420
5.735 1.269 5.553
5.217 -0.753 8.117
3.066 2.079 1.579
0.677 3.985 7.806
3.346 3.175 11.779
1.196 6.007 5.241
0.375 0.283 12.300
6.038 4.972 1.058
4.215 -0.380 11.507
1.136 0.447 8.803
6.697 0.878 2.126
2.198 5.634 1.851
5.277 4.807 4.555
-0.285 4.376 11.232
4.198 3.205 8.388
2.215 2.049 4.971
```

=====

Record 6
Below is a relaxed structure of BaSrPrVO6, with properties calculated at the GGA+U level.

Summary:
Excess energy over the best structure of this formula in the dataset: 0.0052 eV/atom
Theoretical density: 5646 kg/m3
E_tot: -7.183 eV/atom
Volume: 15.08 A^3/atom

POSCAR file:
```
BaSrPrVO6
1.0
-4.676 6.925 1.191
-1.517 0.403 -8.299
-6.879 -4.821 1.024
O Sr Ba V Pr
24 4 4 4 4
Cartesian
-8.829 -2.880 -4.701
-7.778 2.972 -5.119
-7.294 2.496 -0.455
-2.346 -1.051 -1.599
-8.285 -0.005 -0.944
-10.776 0.809 -0.411
-6.454 4.351 -6.972
-4.138 2.340 -1.588
-6.429 4.231 -3.133
-3.726 0.321 -3.385
-2.868 0.785 0.330
-6.285 -3.020 -5.616
-8.677 -0.214 -4.561
-1.634 1.522 -2.048
-9.270 2.166 -2.281
-8.054 -1.463 -6.962
-4.935 -0.213 -1.018
-6.138 -0.241 -5.575
-4.906 5.563 -5.008
-9.907 3.341 -0.004
-6.720 -1.703 -3.368
-7.607 5.745 -4.949
-8.769 1.342 1.436
-5.044 2.894 -5.075
-4.198 -2.209 -3.637
-3.097 3.664 -3.554
-5.778 1.052 1.107
-0.759 0.201 -4.149
-2.338 3.463 0.596
-3.439 -2.410 0.512
-6.536 1.254 -3.042
0.000 0.000 0.000
-7.445 -1.581 -5.131
-6.375 4.287 -5.042
-3.282 0.614 -1.550
-9.043 1.695 -0.444
-4.027 0.840 -5.646
-9.795 1.867 -4.541
-5.600 4.082 -0.951
-6.722 -1.773 -1.030
```

=====

Record 7
Below is a relaxed structure of BaSrPrVO6, with properties calculated at the GGA+U level.

Summary:
Excess energy over the best structure of this formula in the dataset: 0.0236 eV/atom
Theoretical density: 5586 kg/m3
E_tot: -7.164 eV/atom
Volume: 15.24 A^3/atom

POSCAR file:
```
BaSrPrVO6
1.0
0.000 -4.240 -4.240
4.240 0.000 -4.240
4.240 -4.240 0.000
Ba Pr O Sr V
1 1 6 1 1
Cartesian
2.120 -2.120 -2.120
0.000 0.000 0.000
4.240 -4.240 -6.150
2.329 -4.240 -4.240
4.240 -4.240 -2.329
4.240 -6.150 -4.240
4.240 -2.329 -4.240
6.150 -4.240 -4.240
6.360 -6.360 -6.360
4.240 -4.240 -4.240
```

=====

Record 8
Below is a relaxed structure of BaSrPrVO6, with properties calculated at the GGA+U level.

Summary:
Excess energy over the best structure of this formula in the dataset: 0.0000 eV/atom
Theoretical density: 5683 kg/m3
E_tot: -7.188 eV/atom
Volume: 14.98 A^3/atom

POSCAR file:
```
BaSrPrVO6
1.0
5.966 -0.013 -0.027
-0.016 5.962 -0.035
-0.042 -0.054 8.426
O Sr V Ba Pr
12 2 2 2 2
Cartesian
1.749 4.413 8.112
4.448 1.766 3.969
4.468 4.777 0.291
4.159 1.482 0.251
1.106 1.401 4.506
0.295 2.792 2.309
2.533 -0.015 1.873
3.375 5.910 6.490
1.459 4.129 4.394
1.440 1.118 8.072
5.612 3.103 6.055
4.802 4.494 3.857
5.921 0.168 2.117
-0.013 5.728 6.247
-0.029 2.954 4.195
2.983 -0.007 -0.013
2.921 2.823 6.292
2.987 3.072 2.071
-0.008 2.981 -0.018
2.962 -0.033 4.199
```

=====

Going through the records in order, we get ΔH_f (0 K) values of -2.818; -2.842; -2.308; -2.316; -2.734; -3.049; -3.030; -3.054 eV/atom.